# Dy2Ge2O7, relaxed, DFT PBE-GGA
# corrected total energy (MP2020 scheme) = -7.821 eV per atom
# magnetic moment = 0.000 μB/f.u.
# energy relative to the lowest polymorph listed for this composition = 0.067 eV/atom
# E = -7.38 eV/atom
data_Dy2Ge2O7
_chemical_formula_sum 'Dy4 Ge4 O14'
_space_group_name_H-M_alt 'P 1 21/m 1'
_space_group_IT_number 11
_space_group_name_Hall '-P 2yb'
_cell_length_a 5.3725
_cell_length_b 8.1106
_cell_length_c 7.6432
_cell_angle_alpha 90.00
_cell_angle_beta 108.92
_cell_angle_gamma 90.00
loop_
_atom_site_label
_atom_site_type_symbol
_atom_site_fract_x
_atom_site_fract_y
_atom_site_fract_z
_atom_site_occupancy
Dy1 Dy 0.0000 0.0000 0.0000 1
Dy2 Dy 0.5000 0.0000 0.5000 1
Ge1 Ge 0.0371 0.2500 0.6132 1
Ge2 Ge 0.4017 0.7500 0.8241 1
O1 O 0.0284 0.5649 0.2922 1
O2 O 0.1742 0.7500 0.9444 1
O3 O 0.2678 0.7500 0.5742 1
O4 O 0.3244 0.2500 0.5530 1
O5 O 0.4141 0.0699 0.1706 1